Computed, not measured: a geometry-optimized CaBiAsO6 structure at the PBE level of DFT.

Computed properties:
For the calculated volume, the calculation gives 15.1 A^3/atom. The calculated formation energy comes out at -1906 meV per atom. The total magnetic moment comes out at 0.000 μB/atom.

CIF file:
```
data_CaBiAsO6
_cell_length_a 7.144
_cell_length_b 5.178
_cell_length_c 7.550
_cell_angle_alpha 90.00
_cell_angle_beta 103.47
_cell_angle_gamma 90.00
_symmetry_space_group_name_H-M 'P 1 21 1'
_symmetry_Int_Tables_number 4
loop_
_symmetry_equiv_pos_as_xyz
'x,y,z'
'-x,y+1/2,-z'
loop_
_atom_site_label
_atom_site_type_symbol
_atom_site_fract_x
_atom_site_fract_y
_atom_site_fract_z
Ca1 Ca 0.246 0.000 0.074
Bi1 Bi 0.411 0.953 0.591
As1 As 0.220 0.538 0.784
O1 O 0.072 0.615 0.924
O2 O 0.165 0.690 0.571
O3 O 0.233 0.206 0.774
O4 O 0.324 0.225 0.371
O5 O 0.402 0.761 0.322
O6 O 0.430 0.716 0.877
```